[1]
A plane-wave DFT calculation with PBE with a Hubbard U was carried out for crystalline Li7Co5O12 at its relaxed geometry.

```
48
Lattice="4.959 0.000 0.000 0.035 8.532 0.000 1.540 0.010 9.503" Properties=species:S:1:pos:R:3 pbc="T T T"
Li 0.000 0.000 0.000
Li 0.790 4.252 4.752
Li 1.613 5.673 2.441
Li 1.607 2.867 2.446
Li 2.416 7.162 7.203
Li 2.401 1.399 7.198
Li 2.395 4.258 7.064
Li 1.642 8.525 2.301
Li 4.889 0.012 7.200
Li 4.138 4.260 2.441
Li 4.135 7.160 2.304
Li 4.119 1.394 2.305
Li 4.919 2.870 7.058
Li 4.931 5.679 7.064
Co 0.012 2.808 0.001
Co 4.982 5.726 0.001
Co 0.791 1.445 4.755
Co 3.235 0.019 4.751
Co 3.260 5.692 4.748
Co 2.486 1.411 0.001
Co 2.497 4.266 0.001
Co 2.508 7.122 0.001
Co 3.274 2.898 4.756
Co 5.746 7.068 4.747
O 0.726 4.265 1.073
O 1.558 8.497 5.817
O 1.638 5.818 5.800
O 0.857 1.561 1.056
O 0.875 6.971 1.049
O 1.715 2.740 5.812
O 2.385 7.065 3.687
O 3.192 2.861 8.486
O 3.204 5.691 8.479
O 2.433 1.471 3.696
O 3.306 0.012 8.414
O 2.560 4.256 3.680
O 3.227 8.531 1.090
O 3.976 4.265 5.826
O 4.115 7.096 5.805
O 3.328 2.852 1.019
O 3.344 5.683 1.026
O 4.136 1.498 5.806
O 4.837 2.745 3.695
O 4.884 5.821 3.701
O 5.677 6.982 8.452
O 5.659 1.572 8.452
O 5.009 8.526 3.697
O 5.808 4.278 8.432
```

The value obtained for the energy above the most stable polymorph in this dataset is 14 meV per atom. The calculation puts the energy of formation from the pure elements at -41.965 eV per formula unit.

=====

[2]
A plane-wave DFT calculation with PBE with a Hubbard U was carried out for crystalline LiMnF4 at its relaxed geometry.

```
12
Lattice="5.534 0.000 0.000 0.000 4.737 0.000 -2.319 0.000 5.342" Properties=species:S:1:pos:R:3 pbc="T T T"
Li 0.000 0.000 0.000
Li -1.160 2.368 2.671
Mn 1.607 0.000 2.671
Mn 2.767 2.368 0.000
F 0.132 0.857 1.911
F -1.028 1.512 4.582
F 0.461 3.403 3.424
F 1.621 3.703 0.753
F 1.594 1.034 4.589
F 2.753 1.334 1.918
F 4.242 3.225 0.760
F 3.082 3.880 3.431
```

The calculation puts the energy of formation from the pure elements at -17.601 eV per formula unit.

=====

[3]
A plane-wave DFT calculation with PBE with a Hubbard U was carried out for crystalline BaPrInWO6 at its relaxed geometry.

```
10
Lattice="0.000 4.337 4.337 4.337 0.000 4.337 4.337 4.337 0.000" Properties=species:S:1:pos:R:3 pbc="T T T"
Ba 0.000 0.000 0.000
Pr 2.168 2.168 2.168
In 4.337 4.337 4.337
W 6.505 6.505 6.505
O 6.505 6.505 4.543
O 6.505 4.543 6.505
O 8.467 6.505 6.505
O 4.543 6.505 6.505
O 6.505 8.467 6.505
O 6.505 6.505 8.467
```

The calculation puts the energy of formation from the pure elements at -26.501 eV per formula unit.

=====

[4]
A plane-wave DFT calculation with PBE with a Hubbard U was carried out for crystalline MgCo6O8F4 at its relaxed geometry.

```
19
Lattice="5.009 0.000 0.000 0.989 5.577 0.000 0.908 1.002 7.479" Properties=species:S:1:pos:R:3 pbc="T T T"
Mg 0.000 0.000 0.000
Co 3.343 1.826 6.163
Co 3.656 5.081 1.421
Co 3.708 3.594 3.901
Co 6.162 4.421 6.067
Co 6.221 6.058 3.633
Co 5.491 2.190 1.391
O 2.625 3.405 5.423
O 1.700 0.890 0.483
O 2.722 4.950 3.091
O 5.116 5.834 6.991
O 4.174 1.852 4.468
O 4.258 3.444 2.130
O 5.216 4.626 4.466
O 4.421 0.541 1.899
F 1.392 3.659 0.380
F 1.440 2.011 3.078
F 2.436 6.228 5.609
F 5.238 2.878 7.012
```

The value obtained for the energy above the most stable polymorph in this dataset is 34 meV per atom. The calculation puts the energy of formation from the pure elements at -29.843 eV per formula unit.

=====

[5]
A plane-wave DFT calculation with PBE with a Hubbard U was carried out for crystalline Li2CoNi3O8 at its relaxed geometry.

```
14
Lattice="5.626 0.000 0.000 -2.714 5.003 0.000 -2.813 -1.703 4.865" Properties=species:S:1:pos:R:3 pbc="T T T"
Li 0.000 0.000 0.000
Li -1.357 2.501 0.000
Co 1.407 -0.851 2.432
Ni -1.406 -0.851 2.432
Ni -2.764 1.650 2.432
Ni 0.050 1.650 2.432
O -1.342 0.881 1.441
O -2.709 3.464 1.397
O -1.316 2.517 3.403
O 0.120 0.069 3.441
O -0.021 3.231 1.423
O 1.415 0.782 1.462
O 2.808 -0.164 3.468
O 1.442 2.419 3.424
```

The value obtained for the energy above the most stable polymorph in this dataset is 31 meV per atom. The calculation puts the energy of formation from the pure elements at -17.658 eV per formula unit.

=====

[6]
A plane-wave DFT calculation with PBE with a Hubbard U was carried out for crystalline Mg6SiNiO8 at its relaxed geometry.

```
16
Lattice="4.251 0.000 0.000 0.000 4.251 0.000 0.000 0.000 8.684" Properties=species:S:1:pos:R:3 pbc="T T T"
Mg 0.000 0.000 0.000
Mg 0.000 0.000 4.342
Mg 0.000 2.126 2.095
Mg 0.000 2.126 6.589
Mg 2.126 0.000 2.095
Mg 2.126 0.000 6.589
Si 2.126 2.126 4.342
Ni 2.126 2.126 0.000
O 0.000 0.000 2.175
O 0.000 0.000 6.509
O 0.000 2.126 0.000
O 0.000 2.126 4.342
O 2.126 0.000 0.000
O 2.126 0.000 4.342
O 2.126 2.126 2.508
O 2.126 2.126 6.176
```

The value obtained for the energy above the most stable polymorph in this dataset is 0 meV per atom. The calculation puts the energy of formation from the pure elements at -40.429 eV per formula unit.

=====

[7]
A plane-wave DFT calculation with PBE with a Hubbard U was carried out for crystalline SrNdNiSbO6 at its relaxed geometry.

```
10
Lattice="0.000 3.992 3.992 3.992 0.000 3.992 3.992 3.992 0.000" Properties=species:S:1:pos:R:3 pbc="T T T"
Sr 0.000 0.000 0.000
Nd 3.992 3.992 3.992
Ni 5.989 5.989 5.989
Sb 1.996 1.996 1.996
O 1.996 1.996 0.025
O 1.996 0.025 1.996
O 3.968 1.996 1.996
O 0.025 1.996 1.996
O 1.996 3.968 1.996
O 1.996 1.996 3.968
```

The calculation puts the energy of formation from the pure elements at -24.810 eV per formula unit.

=====

[8]
A plane-wave DFT calculation with PBE with a Hubbard U was carried out for crystalline RbMoAsO6 at its relaxed geometry.

```
36
Lattice="0.000 6.584 8.308 5.657 0.000 8.308 5.657 6.584 0.000" Properties=species:S:1:pos:R:3 pbc="T T T"
Rb 7.613 4.938 6.231
Rb 10.442 8.230 10.385
Rb 0.872 4.938 6.231
Rb 3.700 8.230 10.385
Mo 4.243 2.025 6.231
Mo 7.071 5.317 10.385
Mo 4.243 7.851 6.231
Mo 7.071 11.143 10.385
As 4.243 4.938 4.080
As 7.071 8.230 8.234
As 4.243 4.938 8.381
As 7.071 8.230 12.535
O 5.335 4.092 2.959
O 3.670 0.920 5.030
O 4.815 0.920 7.432
O 7.644 4.212 9.183
O 3.403 3.736 4.968
O 5.083 3.736 7.494
O 5.083 6.139 4.968
O 3.150 5.784 2.959
O 7.911 7.028 9.122
O 8.163 9.075 7.113
O 6.498 4.212 11.586
O 5.979 7.384 7.113
O 5.335 5.784 9.503
O 4.815 8.956 5.030
O 3.150 4.092 9.503
O 3.403 6.139 7.494
O 8.163 7.384 13.656
O 6.231 7.028 11.647
O 6.231 9.431 9.122
O 7.911 9.431 11.647
O 3.670 8.956 7.432
O 6.498 12.248 9.183
O 7.644 12.248 11.586
O 5.979 9.075 13.656
```

The calculation puts the energy of formation from the pure elements at -17.544 eV per formula unit.

=====

[9]
A plane-wave DFT calculation with PBE with a Hubbard U was carried out for crystalline YWO3 at its relaxed geometry.

```
20
Lattice="5.907 0.000 0.000 0.000 8.014 0.000 0.000 0.000 5.546" Properties=species:S:1:pos:R:3 pbc="T T T"
Y 0.400 2.004 0.107
Y 2.554 6.011 2.880
Y 3.353 2.004 2.666
Y 5.507 6.011 5.439
W 0.000 0.000 2.773
W 0.000 4.007 2.773
W 2.954 0.000 0.000
W 2.954 4.007 0.000
O 0.385 6.011 2.002
O 1.099 4.553 4.555
O 1.099 7.469 4.555
O 1.855 0.545 1.782
O 1.855 3.462 1.782
O 2.568 2.004 4.775
O 3.339 6.011 0.771
O 4.053 4.553 3.764
O 4.053 7.469 3.764
O 4.808 0.545 0.991
O 4.808 3.462 0.991
O 5.522 2.004 3.544
```

The calculation puts the energy of formation from the pure elements at -13.697 eV per formula unit.

=====

[10]
A plane-wave DFT calculation with PBE with a Hubbard U was carried out for crystalline MgNiTe4O12 at its relaxed geometry.

```
18
Lattice="5.278 0.000 0.000 -0.059 5.789 0.000 -0.033 -0.800 7.697" Properties=species:S:1:pos:R:3 pbc="T T T"
Mg 0.000 0.000 0.000
Ni 0.009 -0.225 3.746
Te -0.042 1.720 6.150
Te 2.559 4.963 2.206
Te 2.565 4.476 5.959
Te 5.128 2.361 2.231
O 0.612 2.115 0.318
O 0.865 -0.164 5.695
O 0.905 3.941 2.866
O 1.559 2.679 5.632
O 1.650 0.655 2.898
O 1.797 5.108 0.443
O 3.386 4.634 4.024
O 3.422 3.242 1.724
O 3.831 0.415 6.697
O 4.288 0.068 1.808
O 4.375 3.363 6.694
O 4.593 1.631 4.334
```

The value obtained for the energy above the most stable polymorph in this dataset is 36 meV per atom. The calculation puts the energy of formation from the pure elements at -27.237 eV per formula unit.

=====

[11]
A plane-wave DFT calculation with PBE with a Hubbard U was carried out for crystalline LiMn5P8O28 at its relaxed geometry.

```
84
Lattice="9.352 0.000 0.000 4.629 9.958 0.000 3.736 -0.789 12.032" Properties=species:S:1:pos:R:3 pbc="T T T"
Li 0.000 0.000 0.000
Li 1.868 -0.395 6.016
Mn 5.062 7.024 5.154
Mn 1.502 2.443 0.843
Mn 8.319 4.203 9.159
Mn 6.933 1.642 7.361
Mn 5.175 2.059 1.377
Mn 12.543 7.109 10.655
Mn 10.785 7.526 4.671
Mn 9.399 4.965 2.873
Mn 16.216 6.725 11.189
Mn 12.656 2.144 6.878
P 3.058 2.790 3.729
P 4.923 2.352 9.772
P 5.976 4.107 6.574
P 4.119 4.473 0.475
P 9.471 7.277 9.485
P 9.520 9.081 7.166
P 7.748 9.460 1.167
P 7.795 7.705 3.554
P 9.923 1.463 8.478
P 9.970 -0.291 10.865
P 8.198 0.088 4.866
P 8.247 1.892 2.547
P 13.599 4.696 11.557
P 11.742 5.062 5.458
P 12.795 6.816 2.260
P 14.659 6.378 8.303
O 2.791 1.938 4.972
O 4.584 6.993 3.261
O 4.727 1.420 10.962
O 5.231 4.834 7.793
O 6.509 6.410 9.267
O 3.444 5.316 1.668
O 8.614 7.464 10.774
O 1.957 0.330 0.654
O 3.788 -0.052 6.543
O 6.843 7.797 4.773
O 3.267 3.165 0.384
O 5.898 4.968 5.357
O 5.257 2.698 6.484
O 7.781 4.542 11.242
O 8.875 8.417 8.476
O 6.334 2.291 9.125
O 4.406 2.547 3.088
O 7.194 8.813 2.557
O 7.385 3.659 7.112
O 5.499 4.008 0.928
O 6.099 -0.037 7.615
O 9.310 5.926 8.841
O 4.372 0.301 1.498
O 7.891 6.341 2.921
O 10.886 7.731 9.748
O 9.181 8.287 3.922
O 8.082 8.205 0.347
O 10.041 7.845 6.380
O 7.677 1.323 5.652
O 9.636 0.964 11.685
O 8.537 0.882 8.109
O 6.832 1.437 2.284
O 9.827 2.827 9.111
O 13.346 8.867 10.534
O 8.408 3.243 3.191
O 11.619 9.205 4.417
O 12.219 5.160 11.104
O 10.332 5.509 4.920
O 10.524 0.356 9.475
O 13.312 6.621 8.944
O 11.383 6.878 2.907
O 8.842 0.751 3.556
O 9.937 4.627 0.790
O 12.461 6.471 5.548
O 11.820 4.200 6.675
O 14.451 6.003 11.648
O 10.875 1.371 7.259
O 13.929 9.220 5.489
O 15.761 8.838 11.378
O 9.104 1.704 1.258
O 14.274 3.853 10.364
O 11.209 2.758 2.765
O 12.487 4.334 4.239
O 12.991 7.749 1.070
O 13.134 2.175 8.771
O 14.927 7.231 7.059
```

The calculation puts the energy of formation from the pure elements at -103.537 eV per formula unit.

=====

[12]
A plane-wave DFT calculation with PBE with a Hubbard U was carried out for crystalline La2TiCrO6 at its relaxed geometry.

```
20
Lattice="5.606 0.000 0.000 0.081 5.722 0.000 0.144 0.035 7.864" Properties=species:S:1:pos:R:3 pbc="T T T"
La 0.063 0.018 1.962
La 2.900 2.906 5.867
La 2.931 2.851 1.997
La 5.768 5.740 5.902
Ti 0.041 2.861 0.000
Ti 2.875 0.017 3.932
Cr 0.113 2.879 3.932
Cr 2.803 0.000 0.000
O 0.256 3.320 5.889
O 1.207 1.165 7.618
O 1.396 4.430 3.598
O 1.634 1.598 4.203
O 1.693 3.837 0.284
O 2.968 5.328 5.849
O 2.863 0.429 2.015
O 4.138 1.920 7.579
O 4.197 4.159 3.660
O 4.435 1.327 4.265
O 4.624 4.593 0.245
O 5.575 2.438 1.975
```

The value obtained for the energy above the most stable polymorph in this dataset is 0 meV per atom. The calculation puts the energy of formation from the pure elements at -34.010 eV per formula unit.

=====

[13]
A plane-wave DFT calculation with PBE with a Hubbard U was carried out for crystalline Li9Mn2Co5O16 at its relaxed geometry.

```
32
Lattice="10.557 -1.449 0.000 10.557 1.449 0.000 -4.049 0.000 9.431" Properties=species:S:1:pos:R:3 pbc="T T T"
Li 0.000 0.000 0.000
Li -1.231 0.000 8.808
Li 1.479 0.000 8.204
Li 3.557 0.000 3.446
Li 9.551 0.000 2.347
Li 7.515 0.000 7.175
Li 15.039 0.000 1.033
Li 13.242 0.000 5.758
Li 19.004 0.000 4.768
Mn 10.318 0.000 6.523
Mn 18.103 0.000 0.553
Co 0.777 0.000 4.026
Co 6.517 0.000 2.928
Co 4.556 0.000 7.615
Co 12.343 0.000 1.512
Co 16.106 0.000 5.265
O 0.393 0.000 2.076
O -1.522 0.000 6.708
O 1.062 0.000 6.157
O 3.136 0.000 1.464
O 4.185 0.000 5.560
O 6.261 0.000 0.739
O 8.819 0.000 0.359
O 6.896 0.000 5.010
O 7.816 0.000 9.195
O 9.974 0.000 4.487
O 12.643 0.000 3.797
O 10.733 0.000 8.321
O 15.807 0.000 3.218
O 13.860 0.000 8.024
O 18.351 0.000 2.493
O 16.374 0.000 7.350
```

The value obtained for the energy above the most stable polymorph in this dataset is 60 meV per atom. The calculation puts the energy of formation from the pure elements at -57.740 eV per formula unit.